(1)
Compound: Li2PrGe
Source: the Materials Project database
Functional: PBE
Structure: relaxed

Lattice parameters (Å, degrees): 4.3934 4.3934 9.6317 90.00 90.00 120.00
Atoms (fractional coordinates):
Pr1 0.3333 0.6667 0.2500
Pr2 0.6667 0.3333 0.7500
Ge1 0.0000 0.0000 0.5000
Ge2 0.0000 0.0000 0.0000
Li1 0.3333 0.6667 0.5643
Li2 0.3333 0.6667 0.9357
Li3 0.6667 0.3333 0.0643
Li4 0.6667 0.3333 0.4357

Computed properties:
E_tot (eV/atom): -3.6604

(2)
Compound: LiPrGe2
Source: the Materials Project database
Functional: PBE
Structure: relaxed

Lattice parameters (Å, degrees): 3.9981 7.8564 10.7996 90.00 90.00 90.00
Atoms (fractional coordinates):
Ge1 0.7500 0.8428 0.1834
Ge2 0.2500 0.2196 0.4332
Ge3 0.2500 0.1572 0.8166
Ge4 0.2500 0.6572 0.6834
Ge5 0.7500 0.2804 0.9332
Ge6 0.2500 0.7196 0.0668
Ge7 0.7500 0.3428 0.3166
Ge8 0.7500 0.7804 0.5668
Pr1 0.2500 0.1397 0.1341
Pr2 0.7500 0.8603 0.8659
Pr3 0.7500 0.3603 0.6341
Pr4 0.2500 0.6397 0.3659
Li1 0.7500 0.5093 0.1110
Li2 0.2500 0.9907 0.6110
Li3 0.7500 0.0093 0.3890
Li4 0.2500 0.4907 0.8890

Computed properties:
E_tot (eV/atom): -4.6519

| no. | V (Å³ per cell) | formation energy (eV/atom) |
| --- | --- | --- |
| 1 | 161 | -0.355 |
| 2 | 339 | -0.668 |